No. 1
The following is a GGA+U calculation of Fe5O7F3 after structural relaxation, from the Materials Project.

```
data_Fe5O7F3
_chemical_formula_sum 'Fe20 O28 F12'
_cell_length_a 6.5114
_cell_length_b 6.6752
_cell_length_c 15.2631
_cell_angle_alpha 90.00
_cell_angle_beta 90.04
_cell_angle_gamma 90.00
_space_group_name_H-M_alt 'C 1 2 1'
_space_group_IT_number 5
loop_
_space_group_symop_operation_xyz
'x,y,z'
'-x,y,-z'
'x+1/2,y+1/2,z'
'-x+1/2,y+1/2,-z'
loop_
_atom_site_label
_atom_site_type_symbol
_atom_site_fract_x
_atom_site_fract_y
_atom_site_fract_z
_atom_site_occupancy
Fe1 Fe 0.0000 0.0000 0.0000 1
Fe2 Fe 0.0002 0.4689 0.0986 1
Fe3 Fe 0.0000 0.4917 0.5000 1
Fe4 Fe 0.0029 0.0000 0.2003 1
Fe5 Fe 0.0072 0.4620 0.2931 1
Fe6 Fe 0.0256 0.9938 0.5947 1
O1 O 0.0000 0.1907 0.5000 1
O2 O 0.0000 0.7895 0.5000 1
O3 O 0.0032 0.1736 0.0996 1
O4 O 0.0079 0.1707 0.6984 1
O5 O 0.1767 0.4855 0.4002 1
O6 O 0.1925 0.4837 0.9998 1
O7 O 0.1941 0.4806 0.8031 1
O8 O 0.1982 0.4810 0.1952 1
F1 F 0.0016 0.7869 0.0991 1
F2 F 0.0066 0.7832 0.7004 1
F3 F 0.2068 0.4835 0.6043 1
```

As for the crystal system: monoclinic. As for the formation energy: -1.72 eV per atom. As for the spin magnetization: 92.12 Bohr magnetons per cell.

No. 2
The following is a GGA+U calculation of Li2Cr3P4H4O16 after structural relaxation, from the Materials Project.

```
data_Li2Cr3P4H4O16
_chemical_formula_sum 'Li4 Cr6 P8 H8 O32'
_cell_length_a 9.0892
_cell_length_b 8.2088
_cell_length_c 9.2835
_cell_angle_alpha 90.00
_cell_angle_beta 103.51
_cell_angle_gamma 90.00
_space_group_name_H-M_alt 'P 1 21/c 1'
_space_group_IT_number 14
loop_
_space_group_symop_operation_xyz
'x,y,z'
'-x,-y,-z'
'-x,y+1/2,-z+1/2'
'x,-y+1/2,z+1/2'
loop_
_atom_site_label
_atom_site_type_symbol
_atom_site_fract_x
_atom_site_fract_y
_atom_site_fract_z
_atom_site_occupancy
Li1 Li 0.0160 0.1656 0.4780 1
Cr1 Cr 0.3597 0.6476 0.5037 1
Cr2 Cr 0.5000 0.0000 0.5000 1
P1 P 0.1696 0.5694 0.7715 1
P2 P 0.3729 0.1896 0.2036 1
H1 H 0.1162 0.5084 0.2912 1
H2 H 0.2766 0.0404 0.7720 1
O1 O 0.0439 0.5386 0.8534 1
O2 O 0.1258 0.6695 0.6306 1
O3 O 0.2137 0.1143 0.2273 1
O4 O 0.2233 0.5037 0.3464 1
O5 O 0.3155 0.6347 0.8794 1
O6 O 0.3315 0.1448 0.6349 1
O7 O 0.4386 0.0662 0.1128 1
O8 O 0.4796 0.2001 0.3608 1
```

As for the crystal system: monoclinic. As for the formation energy: -2.29 eV per atom. As for the spin magnetization: 24.00 Bohr magnetons per cell.

No. 3
The following is a GGA+U calculation of LiVPO5 after structural relaxation, from the Materials Project.

```
data_LiVPO5
_chemical_formula_sum 'Li4 V4 P4 O20'
_cell_length_a 6.0615
_cell_length_b 7.3586
_cell_length_c 9.9500
_cell_angle_alpha 90.00
_cell_angle_beta 90.00
_cell_angle_gamma 90.00
_space_group_name_H-M_alt 'P 21 21 21'
_space_group_IT_number 19
loop_
_space_group_symop_operation_xyz
'x,y,z'
'-x+1/2,-y,z+1/2'
'x+1/2,-y+1/2,-z'
'-x,y+1/2,-z+1/2'
loop_
_atom_site_label
_atom_site_type_symbol
_atom_site_fract_x
_atom_site_fract_y
_atom_site_fract_z
_atom_site_occupancy
Li1 Li 0.0670 0.0718 0.4403 1
V1 V 0.0947 0.5478 0.5506 1
P1 P 0.2041 0.3479 0.8280 1
O1 O 0.0024 0.2232 0.8122 1
O2 O 0.1033 0.7466 0.4068 1
O3 O 0.1152 0.9133 0.9819 1
O4 O 0.1557 0.5097 0.9268 1
O5 O 0.2200 0.5837 0.1885 1
```

As for the crystal system: orthorhombic. As for the formation energy: -2.61 eV per atom. As for the spin magnetization: 4.00 Bohr magnetons per cell. As for the piezoelectric modulus e_max: 0.05 C/m².

No. 4
The following is a GGA+U calculation of Li2CrC3O9 after structural relaxation, from the Materials Project.

```
data_Li2CrC3O9
_chemical_formula_sum 'Li8 Cr4 C12 O36'
_cell_length_a 9.5837
_cell_length_b 9.6899
_cell_length_c 7.1420
_cell_angle_alpha 90.00
_cell_angle_beta 90.00
_cell_angle_gamma 90.00
_space_group_name_H-M_alt 'A m a 2'
_space_group_IT_number 40
loop_
_space_group_symop_operation_xyz
'x,y,z'
'-x,-y,z'
'-x+1/2,y,z'
'x+1/2,-y,z'
'x,y+1/2,z+1/2'
'-x,-y+1/2,z+1/2'
'-x+1/2,y+1/2,z+1/2'
'x+1/2,-y+1/2,z+1/2'
loop_
_atom_site_label
_atom_site_type_symbol
_atom_site_fract_x
_atom_site_fract_y
_atom_site_fract_z
_atom_site_occupancy
Li1 Li 0.0000 0.0000 0.0000 1
Li2 Li 0.2500 0.1703 0.9395 1
Cr1 Cr 0.2500 0.2516 0.4643 1
C1 C 0.0192 0.2693 0.7559 1
C2 C 0.2500 0.4524 0.1544 1
O1 O 0.0611 0.1602 0.8380 1
O2 O 0.1000 0.3335 0.6359 1
O3 O 0.1031 0.1767 0.2860 1
O4 O 0.2500 0.0806 0.6024 1
O5 O 0.2500 0.3600 0.0320 1
O6 O 0.2500 0.4331 0.3358 1
```

As for the crystal system: orthorhombic. As for the formation energy: -1.95 eV per atom. As for the spin magnetization: 8.00 Bohr magnetons per cell.